Tm2CuTc | PBE | optimized geometry

## Properties
Formation energy: -15.1 kJ per mole of atoms
Size of the total moment: 0.0 μB per formula unit

a b c (Å): 4.7710 4.7710 4.7710
angles (deg): 60.00 60.00 60.00
Sites, in units of the cell vectors:
Tm1 0.2500 0.2500 0.2500
Tm2 0.7500 0.7500 0.7500
Cu1 0.0000 0.0000 0.0000
Tc1 0.5000 0.5000 0.5000